Entry 1:
VASP calculation (PBE) on a relaxed structure of MnCr2S4.

Cell: 6.5231 6.5231 5.7143 Å, 114.70 114.70 29.85°
Fractional positions:
1 Mn 0.0000 0.0000 0.0000
2 Cr 0.2563 0.2563 0.3121
3 Cr 0.7437 0.7437 0.6879
4 S 0.1172 0.1172 0.4618
5 S 0.3543 0.3543 0.0142
6 S 0.6457 0.6457 0.9858
7 S 0.8828 0.8828 0.5382

Summary:
E_tot = -7.0441 eV per atom
formation energy from the elements = -901.0 meV per atom
density = 4370 kg/m³
volume = 109.12 Å³/f.u.

---

Entry 2:
VASP calculation (PBE) on a relaxed structure of Na3BiP2O8.

Cell: 20.0380 5.4206 14.1468 Å, 90.00 110.52 90.00°
Fractional positions:
1 Na 0.0354 0.2477 0.1891
2 Na 0.0354 0.2523 0.6891
3 Na 0.1373 0.7487 0.3070
4 Na 0.1373 0.7513 0.8070
5 Na 0.1984 0.2085 0.4456
6 Na 0.1984 0.2915 0.9456
7 Na 0.3031 0.7447 0.2505
8 Na 0.3031 0.7553 0.7505
9 Na 0.3605 0.2458 0.6680
10 Na 0.3605 0.2542 0.1680
11 Na 0.4652 0.7482 0.1551
12 Na 0.4652 0.7518 0.6551
13 Na 0.5348 0.2482 0.3449
14 Na 0.5348 0.2518 0.8449
15 Na 0.6395 0.7458 0.8320
16 Na 0.6395 0.7542 0.3320
17 Na 0.6969 0.2447 0.2495
18 Na 0.6969 0.2553 0.7495
19 Na 0.8016 0.7085 0.0544
20 Na 0.8016 0.7915 0.5544
21 Na 0.8627 0.2487 0.1930
22 Na 0.8627 0.2513 0.6930
23 Na 0.9646 0.7477 0.3109
24 Na 0.9646 0.7523 0.8109
25 Bi 0.1190 0.6930 0.5450
26 Bi 0.1190 0.8070 0.0449
27 Bi 0.3826 0.2081 0.4269
28 Bi 0.3826 0.2919 0.9269
29 Bi 0.6174 0.7081 0.0731
30 Bi 0.6174 0.7919 0.5731
31 Bi 0.8810 0.1930 0.9550
32 Bi 0.8810 0.3070 0.4550
33 P 0.0396 0.2309 0.4176
34 P 0.0396 0.2691 0.9176
35 P 0.2078 0.2252 0.7116
36 P 0.2078 0.2748 0.2116
37 P 0.2926 0.7231 0.5047
38 P 0.2926 0.7769 0.0047
39 P 0.4623 0.7359 0.3796
40 P 0.4623 0.7641 0.8796
41 P 0.5377 0.2359 0.1204
42 P 0.5377 0.2641 0.6204
43 P 0.7074 0.2231 0.9953
44 P 0.7074 0.2769 0.4953
45 P 0.7922 0.7252 0.7884
46 P 0.7922 0.7748 0.2884
47 P 0.9604 0.7309 0.0824
48 P 0.9604 0.7691 0.5824
49 O 0.0325 0.2355 0.0218
50 O 0.0325 0.2645 0.5218
51 O 0.0325 0.7330 0.1707
52 O 0.0325 0.7670 0.6707
53 O 0.0802 0.5125 0.9122
54 O 0.0802 0.9875 0.4122
55 O 0.0860 0.0476 0.9006
56 O 0.0860 0.4524 0.4006
57 O 0.1618 0.1580 0.2664
58 O 0.1618 0.3420 0.7664
59 O 0.1904 0.5559 0.1924
60 O 0.1904 0.9441 0.6924
61 O 0.1973 0.1395 0.1097
62 O 0.1973 0.3605 0.6097
63 O 0.2108 0.7327 0.9841
64 O 0.2108 0.7673 0.4841
65 O 0.2901 0.2446 0.7732
66 O 0.2901 0.2554 0.2732
67 O 0.3053 0.0594 0.9960
68 O 0.3053 0.4406 0.4960
69 O 0.3071 0.6356 0.9175
70 O 0.3071 0.8644 0.4175
71 O 0.3388 0.6769 0.1086
72 O 0.3388 0.8231 0.6086
73 O 0.4185 0.5364 0.8184
74 O 0.4185 0.9636 0.3184
75 O 0.4193 0.0010 0.8305
76 O 0.4193 0.4990 0.3305
77 O 0.4650 0.2318 0.1357
78 O 0.4650 0.2682 0.6357
79 O 0.4698 0.7394 0.9912
80 O 0.4698 0.7606 0.4912
81 O 0.5302 0.2394 0.5088
82 O 0.5302 0.2606 0.0088
83 O 0.5350 0.7318 0.3643
84 O 0.5350 0.7682 0.8643
85 O 0.5807 0.5010 0.6695
86 O 0.5807 0.9990 0.1695
87 O 0.5815 0.0364 0.6816
88 O 0.5815 0.4636 0.1816
89 O 0.6612 0.1769 0.3914
90 O 0.6612 0.3231 0.8914
91 O 0.6929 0.1356 0.5825
92 O 0.6929 0.3644 0.0825
93 O 0.6947 0.5594 0.5040
94 O 0.6947 0.9406 0.0040
95 O 0.7099 0.7446 0.7268
96 O 0.7099 0.7554 0.2268
97 O 0.7892 0.2327 0.5159
98 O 0.7892 0.2673 0.0159
99 O 0.8027 0.6395 0.3903
100 O 0.8027 0.8605 0.8903
101 O 0.8096 0.0559 0.3076
102 O 0.8096 0.4441 0.8076
103 O 0.8382 0.6580 0.2336
104 O 0.8382 0.8420 0.7336
105 O 0.9140 0.5476 0.5994
106 O 0.9140 0.9524 0.0994
107 O 0.9198 0.0125 0.5878
108 O 0.9198 0.4875 0.0878
109 O 0.9675 0.2330 0.3293
110 O 0.9675 0.2670 0.8293
111 O 0.9675 0.7355 0.4782
112 O 0.9675 0.7645 0.9782

Summary:
E_tot = -6.2748 eV per atom
formation energy from the elements = -2505.4 meV per atom
density = 4319 kg/m³
volume = 179.88 Å³/f.u.
total moment = 0.0 μB per cell

---

Entry 3:
VASP calculation (PBE) on a relaxed structure of BiI3O9.

Cell: 8.9752 6.1142 17.0194 Å, 90.00 114.98 90.00°
Fractional positions:
1 Bi 0.1523 0.2179 0.1054
2 Bi 0.1523 0.2821 0.6054
3 Bi 0.8477 0.7179 0.3946
4 Bi 0.8477 0.7821 0.8946
5 I 0.0676 0.1841 0.3541
6 I 0.0676 0.3159 0.8541
7 I 0.3566 0.6371 0.5207
8 I 0.3566 0.8629 0.0207
9 I 0.4150 0.5965 0.8014
10 I 0.4150 0.9035 0.3014
11 I 0.5850 0.0965 0.6986
12 I 0.5850 0.4035 0.1986
13 I 0.6434 0.1371 0.9793
14 I 0.6434 0.3629 0.4793
15 I 0.9324 0.6841 0.1459
16 I 0.9324 0.8159 0.6459
17 O 0.0629 0.0540 0.6986
18 O 0.0629 0.4460 0.1986
19 O 0.1015 0.6133 0.6713
20 O 0.1015 0.8867 0.1713
21 O 0.1041 0.1005 0.4637
22 O 0.1041 0.3995 0.9637
23 O 0.1336 0.6030 0.4903
24 O 0.1336 0.8970 0.9903
25 O 0.3346 0.5866 0.8837
26 O 0.3346 0.9134 0.3837
27 O 0.3451 0.1783 0.2549
28 O 0.3451 0.3217 0.7549
29 O 0.3576 0.0822 0.9450
30 O 0.3576 0.4178 0.4450
31 O 0.3700 0.0068 0.6339
32 O 0.3700 0.4932 0.1339
33 O 0.4035 0.0286 0.1198
34 O 0.4035 0.4714 0.6198
35 O 0.5965 0.5286 0.3802
36 O 0.5965 0.9714 0.8802
37 O 0.6300 0.5068 0.8661
38 O 0.6300 0.9932 0.3661
39 O 0.6424 0.5822 0.5550
40 O 0.6424 0.9178 0.0550
41 O 0.6549 0.6783 0.2451
42 O 0.6549 0.8217 0.7451
43 O 0.6654 0.0866 0.6163
44 O 0.6654 0.4134 0.1163
45 O 0.8664 0.1030 0.0097
46 O 0.8664 0.3970 0.5097
47 O 0.8959 0.6005 0.0363
48 O 0.8959 0.8995 0.5363
49 O 0.8985 0.1133 0.8287
50 O 0.8985 0.3867 0.3287
51 O 0.9371 0.5540 0.8014
52 O 0.9371 0.9460 0.3014

Summary:
E_tot = -4.6077 eV per atom
formation energy from the elements = -1006.9 meV per atom
density = 5756 kg/m³
volume = 211.65 Å³/f.u.

---

Entry 4:
VASP calculation (PBE) on a relaxed structure of Sm3Co.

Cell: 7.0372 9.7510 6.3829 Å, 90.00 90.00 90.00°
Fractional positions:
1 Sm 0.0444 0.2500 0.1454
2 Sm 0.1731 0.0690 0.6753
3 Sm 0.1731 0.4310 0.6753
4 Sm 0.3269 0.5690 0.1753
5 Sm 0.3269 0.9310 0.1753
6 Sm 0.4556 0.7500 0.6454
7 Sm 0.5444 0.2500 0.3546
8 Sm 0.6731 0.0690 0.8247
9 Sm 0.6731 0.4310 0.8247
10 Sm 0.8269 0.5690 0.3247
11 Sm 0.8269 0.9310 0.3247
12 Sm 0.9556 0.7500 0.8546
13 Co 0.1130 0.7500 0.4438
14 Co 0.3870 0.2500 0.9438
15 Co 0.6130 0.7500 0.0562
16 Co 0.8870 0.2500 0.5562

Summary:
E_tot = -5.4147 eV per atom
formation energy from the elements = -98.6 meV per atom
density = 7734 kg/m³
volume = 109.50 Å³/f.u.

---

Entry 5:
VASP calculation (PBE) on a relaxed structure of CdHCl3.

Cell: 5.2184 5.2184 5.2184 Å, 90.00 90.00 90.00°
Fractional positions:
1 Cd 0.0000 0.0000 0.0000
2 H 0.5000 0.5000 0.5000
3 Cl 0.0000 0.0000 0.5000
4 Cl 0.0000 0.5000 0.0000
5 Cl 0.5000 0.0000 0.0000

Summary:
E_tot = -1.8935 eV per atom
formation energy from the elements = -289.7 meV per atom
density = 2568 kg/m³
volume = 142.11 Å³/f.u.
total moment = 1.7 μB per cell

---

Entry 6:
VASP calculation (PBE) on a relaxed structure of La2MgS4.

Cell: 8.2503 8.2503 8.2503 Å, 60.00 60.00 60.00°
Fractional positions:
1 La 0.0000 0.0000 0.0000
2 La 0.0000 0.0000 0.5000
3 La 0.0000 0.5000 0.0000
4 La 0.5000 0.0000 0.0000
5 Mg 0.3750 0.3750 0.3750
6 Mg 0.6250 0.6250 0.6250
7 S 0.2439 0.7520 0.7520
8 S 0.2480 0.2480 0.2480
9 S 0.2480 0.2480 0.7561
10 S 0.2480 0.7561 0.2480
11 S 0.7520 0.2439 0.7520
12 S 0.7520 0.7520 0.2439
13 S 0.7520 0.7520 0.7520
14 S 0.7561 0.2480 0.2480

Summary:
E_tot = -5.8602 eV per atom
formation energy from the elements = -2145.1 meV per atom
density = 3599 kg/m³
volume = 198.55 Å³/f.u.
total moment = 0.0 μB per cell

---

Entry 7:
VASP calculation (PBE) on a relaxed structure of Si2H2O3.

Cell: 8.5977 9.7326 12.4043 Å, 83.28 69.85 64.09°
Fractional positions:
1 Si 0.0000 0.0000 0.0000
2 Si 0.0051 0.3758 0.2244
3 Si 0.0176 0.4810 0.8809
4 Si 0.1141 0.7786 0.3944
5 Si 0.2160 0.2487 0.6352
6 Si 0.2886 0.0565 0.3451
7 Si 0.3161 0.5561 0.8443
8 Si 0.3271 0.8970 0.7059
9 Si 0.4713 0.0995 0.9331
10 Si 0.4771 0.8279 0.0932
11 Si 0.4946 0.6015 0.4356
12 Si 0.5224 0.4813 0.1571
13 Si 0.6004 0.3281 0.5930
14 Si 0.6241 0.9877 0.3800
15 Si 0.7126 0.2783 0.8946
16 Si 0.7280 0.7232 0.7641
17 Si 0.8034 0.2156 0.2549
18 Si 0.8649 0.9693 0.6633
19 Si 0.8962 0.7452 0.1368
20 Si 0.9944 0.5032 0.5018
21 H 0.0355 0.7003 0.7270
22 H 0.0563 0.2358 0.8295
23 H 0.0646 0.1474 0.1044
24 H 0.0675 0.0706 0.6398
25 H 0.0865 0.3209 0.3855
26 H 0.1164 0.3385 0.0312
27 H 0.2093 0.8233 0.8822
28 H 0.2279 0.8912 0.2637
29 H 0.2366 0.5669 0.1415
30 H 0.2669 0.4736 0.5580
31 H 0.4982 0.1345 0.6691
32 H 0.5145 0.8394 0.5271
33 H 0.5445 0.2144 0.2268
34 H 0.6212 0.3888 0.7638
35 H 0.6722 0.5096 0.9618
36 H 0.6847 0.6356 0.1687
37 H 0.6856 0.6416 0.6109
38 H 0.6997 0.9736 0.0583
39 H 0.8635 0.0122 0.4710
40 H 0.8739 0.7395 0.3309
41 O 0.0180 0.6516 0.4268
42 O 0.0633 0.9725 0.6682
43 O 0.0964 0.3125 0.7832
44 O 0.1451 0.2525 0.3094
45 O 0.1471 0.2687 0.0962
46 O 0.1525 0.5633 0.7903
47 O 0.1597 0.4410 0.5789
48 O 0.2747 0.7040 0.4566
49 O 0.2818 0.7581 0.8035
50 O 0.3162 0.9467 0.2217
51 O 0.3189 0.4846 0.1752
52 O 0.4339 0.2340 0.6389
53 O 0.4587 0.4648 0.5274
54 O 0.4701 0.7744 0.5885
55 O 0.4945 0.0720 0.2909
56 O 0.5185 0.4450 0.7218
57 O 0.5507 0.9636 0.0259
58 O 0.5620 0.2076 0.9581
59 O 0.6096 0.2842 0.2077
60 O 0.6402 0.4271 0.0045
61 O 0.6859 0.7365 0.1408
62 O 0.7500 0.0941 0.3502
63 O 0.8020 0.6014 0.6292
64 O 0.8038 0.8170 0.2850
65 O 0.8183 0.5896 0.8522
66 O 0.8197 0.9400 0.0795
67 O 0.9027 0.1487 0.9256
68 O 0.9231 0.7746 0.7062
69 O 0.9359 0.9259 0.5098
70 O 0.9711 0.1009 0.1267

Summary:
E_tot = -5.8470 eV per atom
formation energy from the elements = -1501.4 meV per atom
density = 2013 kg/m³
volume = 87.59 Å³/f.u.
total moment = 0.0 μB per cell

---

Entry 8:
VASP calculation (PBE) on a relaxed structure of KNaMg6O7.

Cell: 4.5863 4.5863 8.5592 Å, 90.00 90.00 90.00°
Fractional positions:
1 K 0.0000 0.0000 0.0000
2 Na 0.5000 0.5000 0.9866
3 Mg 0.0000 0.0000 0.4984
4 Mg 0.0000 0.5000 0.2286
5 Mg 0.0000 0.5000 0.7514
6 Mg 0.5000 0.0000 0.2286
7 Mg 0.5000 0.0000 0.7514
8 Mg 0.5000 0.5000 0.4846
9 O 0.0000 0.0000 0.7198
10 O 0.0000 0.5000 0.4653
11 O 0.0000 0.5000 0.9993
12 O 0.5000 0.0000 0.4653
13 O 0.5000 0.0000 0.9993
14 O 0.5000 0.5000 0.2505
15 O 0.5000 0.5000 0.7179

Summary:
E_tot = -5.0335 eV per atom
formation energy from the elements = -2242.7 meV per atom
density = 2951 kg/m³
volume = 180.03 Å³/f.u.
total moment = 0.2 μB per cell